[1]
A plane-wave DFT calculation with GGA-PBE was carried out for a geometry-optimized SeN structure.

Cell lengths 10.2807, 10.3086, 6.7973 Å; angles 90.00, 103.93, 90.00 degrees
Space group C2/c (No. 15)
Symmetry-distinct sites (fractional):
Se: 0.0624 0.2004 0.0715 [8 per cell]
Se: 0.1294 0.3948 0.4115 [8 per cell]
N: 0.0000 0.1034 0.2500 [4 per cell]
N: 0.0000 0.4921 0.2500 [4 per cell]
N: 0.1911 0.2991 0.2300 [8 per cell]

* formation enthalpy at 0 K: 0.6348 eV/atom
* volume: 699.2 Å³/cell

---

[2]
A plane-wave DFT calculation with GGA-PBE was carried out for a geometry-optimized Sr7SeN6 structure.

Cell lengths 12.7148, 6.8555, 13.5072 Å; angles 90.00, 90.00, 90.00 degrees
Space group Pbcn (No. 60)
Symmetry-distinct sites (fractional):
Sr: 0.0000 0.0658 0.2500 [4 per cell]
Sr: 0.0598 0.2103 0.5008 [8 per cell]
Sr: 0.1954 0.3450 0.8860 [8 per cell]
Sr: 0.2187 0.3838 0.1538 [8 per cell]
Se: 0.0000 0.4379 0.7500 [4 per cell]
N: 0.1012 0.2826 0.6971 [8 per cell]
N: 0.1353 0.1354 0.0357 [8 per cell]
N: 0.1394 0.2964 0.3308 [8 per cell]

* formation enthalpy at 0 K: -0.5094 eV/atom
* volume: 1177.4 Å³/cell

---

[3]
A plane-wave DFT calculation with GGA-PBE was carried out for a geometry-optimized TaSeN structure.

Cell lengths 13.6098, 3.9733, 9.3225 Å; angles 90.00, 112.14, 90.00 degrees
Space group C2/m (No. 12)
Symmetry-distinct sites (fractional):
Ta: 0.1045 0.0000 0.1134 [4 per cell]
Ta: 0.1818 0.0000 0.8575 [4 per cell]
Se: 0.0956 0.0000 0.5559 [4 per cell]
Se: 0.1644 0.5000 0.2901 [4 per cell]
N: 0.0422 0.0000 0.8761 [4 per cell]
N: 0.2353 0.5000 0.8864 [4 per cell]

* formation enthalpy at 0 K: -0.7862 eV/atom
* volume: 466.9 Å³/cell
* relative energy among the computed polymorphs: 30 meV per atom

---

[4]
A plane-wave DFT calculation with GGA-PBE was carried out for a geometry-optimized TaSeN structure.

Cell lengths 3.6476, 3.6476, 6.3799 Å; angles 90.00, 90.00, 90.00 degrees
Space group P4/nmm (No. 129, origin choice 2)
Symmetry-distinct sites (fractional):
Ta: 0.2500 0.2500 0.1729 [2 per cell]
Se: 0.2500 0.2500 0.6200 [2 per cell]
N: 0.2500 0.7500 0.0000 [2 per cell]

* formation enthalpy at 0 K: -0.8161 eV/atom
* volume: 84.9 Å³/cell
* relative energy among the computed polymorphs: 0 meV per atom

---

[5]
A plane-wave DFT calculation with GGA-PBE was carried out for a geometry-optimized Tb4Se3N2 structure.

Cell lengths 13.4013, 3.9529, 10.3706 Å; angles 90.00, 129.75, 90.00 degrees
Space group C2/m (No. 12)
Symmetry-distinct sites (fractional):
Tb: 0.0577 0.0000 0.3490 [4 per cell]
Tb: 0.2441 0.5000 0.8606 [4 per cell]
Se: 0.0000 0.5000 0.5000 [2 per cell]
Se: 0.1652 0.5000 0.2719 [4 per cell]
N: 0.1488 0.0000 0.8622 [4 per cell]

* formation enthalpy at 0 K: -1.9020 eV/atom
* volume: 422.4 Å³/cell

---

[6]
A plane-wave DFT calculation with GGA-PBE was carried out for a geometry-optimized Th2SeN2 structure.

Cell lengths 4.0456, 4.0456, 7.1997 Å; angles 90.00, 90.00, 120.00 degrees
Space group P-3m1 (No. 164)
Symmetry-distinct sites (fractional):
Th: 0.3333 0.6667 0.2965 [2 per cell]
Se: 0.0000 0.0000 0.0000 [1 per cell]
N: 0.3333 0.6667 0.6262 [2 per cell]

* formation enthalpy at 0 K: -2.0784 eV/atom
* volume: 102.0 Å³/cell

---

Q: What is the volume in the third record?
A: 466.9 Å³/cell

---

Q: What is the formation enthalpy at 0 K in the fifth record?
A: -1.9020 eV/atom